Crystalline Sc at its relaxed geometry, computed with PBE.

abc: 3.8344 3.8344 3.4352
angles: 90.00 90.00 90.00
Atoms (fractional coordinates):
Sc 0.0000 0.0000 0.0000
Sc 0.5000 0.5000 0.5000

The crystal system is tetragonal. Its total energy is -12.45 eV per cell. The calculation puts the energy relative to the lowest polymorph listed for this composition at 0.108 eV/atom. As for the formation energy: 108 meV per atom. The calculated density comes out at 2.96 g/cm³. The magnetization is 0.003 μB per atom.


Crystalline NaZrSnP3O12 at its relaxed geometry, computed with PBE.

abc: 8.8139 8.8139 23.2009
angles: 90.00 90.00 120.00
Atoms (fractional coordinates):
Na 0.0000 0.0000 0.0000
Na 0.0000 0.0000 0.4991
Na 0.3333 0.6667 0.1657
Na 0.3333 0.6667 0.6658
Na 0.6667 0.3333 0.3324
Na 0.6667 0.3333 0.8333
Zr 0.0000 0.0000 0.6460
Zr 0.0000 0.0000 0.8537
Zr 0.3333 0.6667 0.3117
Zr 0.3333 0.6667 0.8136
Zr 0.6667 0.3333 0.4791
Zr 0.6667 0.3333 0.6851
Sn 0.0000 0.0000 0.1465
Sn 0.0000 0.0000 0.3515
Sn 0.3333 0.6667 0.0190
Sn 0.3333 0.6667 0.5175
Sn 0.6667 0.3333 0.1848
Sn 0.6667 0.3333 0.9813
P 0.9999 0.2904 0.7496
P 0.0414 0.6630 0.9178
P 0.0451 0.3751 0.4159
P 0.2894 0.2858 0.2486
P 0.2905 0.0001 0.7496
P 0.3300 0.9549 0.4159
P 0.3370 0.3784 0.9178
P 0.3758 0.3368 0.5819
P 0.3768 0.0434 0.0829
P 0.6216 0.9586 0.9178
P 0.6249 0.6700 0.4159
P 0.6632 0.0390 0.5819
P 0.6667 0.6232 0.0829
P 0.7096 0.7095 0.7496
P 0.7142 0.0035 0.2486
P 0.9566 0.3333 0.0829
P 0.9610 0.6242 0.5819
P 0.9965 0.7106 0.2486
O 0.0230 0.8270 0.9105
O 0.0246 0.1900 0.4095
O 0.0300 0.2080 0.6956
O 0.0331 0.8236 0.1942
O 0.1229 0.6340 0.8634
O 0.1267 0.4888 0.3622
O 0.1412 0.4986 0.0764
O 0.1448 0.6426 0.5759
O 0.1558 0.4535 0.4710
O 0.1560 0.6996 0.9720
O 0.1599 0.6910 0.2557
O 0.1634 0.4730 0.7561
O 0.1655 0.9754 0.4095
O 0.1730 0.1960 0.9105
O 0.1764 0.2095 0.1942
O 0.1780 0.9700 0.6956
O 0.1921 0.0241 0.0894
O 0.1943 0.1727 0.5890
O 0.2075 0.0299 0.8036
O 0.2121 0.1762 0.3040
O 0.2977 0.8442 0.4710
O 0.3004 0.4564 0.9720
O 0.3090 0.4689 0.2557
O 0.3096 0.8366 0.7561
O 0.3574 0.5022 0.5759
O 0.3574 0.8588 0.0764
O 0.3621 0.8733 0.3622
O 0.3660 0.4889 0.8634
O 0.4541 0.1554 0.0282
O 0.4586 0.3047 0.5286
O 0.4731 0.1635 0.7430
O 0.4752 0.3075 0.2426
O 0.4877 0.3658 0.6362
O 0.4890 0.1211 0.1376
O 0.4936 0.1374 0.4227
O 0.4978 0.8552 0.5759
O 0.5014 0.6426 0.0764
O 0.5019 0.3586 0.9234
O 0.5112 0.6379 0.3622
O 0.5111 0.8771 0.8634
O 0.5270 0.6904 0.7561
O 0.5311 0.8401 0.2557
O 0.5436 0.8440 0.9720
O 0.5465 0.7023 0.4710
O 0.6321 0.5110 0.1376
O 0.6342 0.1220 0.6362
O 0.6414 0.1434 0.9234
O 0.6438 0.5064 0.4227
O 0.6904 0.5269 0.7430
O 0.6925 0.1677 0.2426
O 0.6953 0.1539 0.5286
O 0.7012 0.5459 0.0282
O 0.7905 0.9669 0.1942
O 0.7920 0.8220 0.6956
O 0.8040 0.9770 0.9105
O 0.8100 0.8345 0.4095
O 0.8223 0.7925 0.8036
O 0.8238 0.0359 0.3040
O 0.8273 0.0216 0.5890
O 0.8323 0.5248 0.2426
O 0.8319 0.8079 0.0894
O 0.8365 0.3096 0.7430
O 0.8446 0.2988 0.0282
O 0.8461 0.5414 0.5286
O 0.8566 0.4981 0.9234
O 0.8626 0.3562 0.4227
O 0.8780 0.5123 0.6362
O 0.8789 0.3679 0.1376
O 0.9641 0.7879 0.3040
O 0.9701 0.1777 0.8036
O 0.9759 0.1681 0.0894
O 0.9784 0.8057 0.5890

The crystal system is trigonal. Its total energy is -794.48 eV per cell. As for the formation energy: -2842 meV per atom. The calculated density comes out at 3.31 g/cm³. The magnetization is 0.000 μB per atom.


Crystalline Mn2Al2Cu at its relaxed geometry, computed with PBE.

abc: 2.7372 2.7372 17.0379
angles: 90.00 90.00 90.00
Atoms (fractional coordinates):
Mn 0.0000 0.0000 0.0000
Mn 0.0000 0.0000 0.4254
Mn 0.5000 0.5000 0.5000
Mn 0.5000 0.5000 0.9254
Al 0.0000 0.0000 0.2025
Al 0.0000 0.0000 0.8296
Al 0.5000 0.5000 0.3296
Al 0.5000 0.5000 0.7025
Cu 0.0000 0.0000 0.6029
Cu 0.5000 0.5000 0.1029

The crystal system is tetragonal. Its total energy is -60.02 eV per cell. As for the formation energy: -20 meV per atom. The calculated density comes out at 5.92 g/cm³. The magnetization is 0.231 μB per atom.


Crystalline MgBiPO6 at its relaxed geometry, computed with PBE.

abc: 6.5630 5.3250 7.8490
angles: 90.00 111.12 90.00
Atoms (fractional coordinates):
Mg 0.1475 0.2500 0.4164
Mg 0.8525 0.7500 0.5836
Bi 0.1970 0.7500 0.0424
Bi 0.8030 0.2500 0.9576
P 0.3727 0.7500 0.6762
P 0.6273 0.2500 0.3238
O 0.0304 0.0198 0.1782
O 0.0304 0.4802 0.1782
O 0.2213 0.5193 0.6101
O 0.2213 0.9807 0.6101
O 0.4429 0.2500 0.3977
O 0.4742 0.7500 0.8895
O 0.5258 0.2500 0.1105
O 0.5571 0.7500 0.6023
O 0.7787 0.0193 0.3899
O 0.7787 0.4807 0.3899
O 0.9696 0.5198 0.8218
O 0.9696 0.9802 0.8218

The crystal system is monoclinic. Its total energy is -110.83 eV per cell. As for the formation energy: -2105 meV per atom. The calculated density comes out at 4.68 g/cm³. The magnetization is 0.222 μB per atom.


Crystalline KS2NO4F2 at its relaxed geometry, computed with PBE.

abc: 15.0387 5.7062 15.7303
angles: 90.00 91.11 90.00
Atoms (fractional coordinates):
K 0.2073 0.2160 0.4327
K 0.2073 0.2840 0.9327
K 0.2934 0.2330 0.1827
K 0.2934 0.2670 0.6827
K 0.7066 0.7330 0.3173
K 0.7066 0.7670 0.8173
K 0.7927 0.7160 0.0673
K 0.7927 0.7840 0.5673
S 0.1069 0.6934 0.5810
S 0.1069 0.8066 0.0810
S 0.1334 0.7296 0.2558
S 0.1334 0.7704 0.7558
S 0.3656 0.7403 0.0048
S 0.3656 0.7597 0.5048
S 0.3928 0.6847 0.3311
S 0.3928 0.8153 0.8311
S 0.6072 0.1847 0.1689
S 0.6072 0.3153 0.6689
S 0.6344 0.2403 0.4952
S 0.6344 0.2597 0.9952
S 0.8666 0.2296 0.2442
S 0.8666 0.2704 0.7442
S 0.8931 0.1934 0.9190
S 0.8931 0.3066 0.4190
N 0.1338 0.6490 0.1598
N 0.1338 0.8510 0.6598
N 0.3613 0.6619 0.9085
N 0.3613 0.8381 0.4085
N 0.6387 0.1619 0.5915
N 0.6387 0.3381 0.0915
N 0.8662 0.1490 0.3402
N 0.8662 0.3510 0.8402
O 0.1220 0.6749 0.0048
O 0.1220 0.8251 0.5048
O 0.1352 0.0485 0.0841
O 0.1352 0.4515 0.5841
O 0.1617 0.5332 0.7737
O 0.1617 0.9668 0.2737
O 0.1720 0.5420 0.3053
O 0.1720 0.9580 0.8053
O 0.3293 0.5504 0.0535
O 0.3293 0.9496 0.5535
O 0.3368 0.5238 0.5231
O 0.3368 0.9762 0.0231
O 0.3687 0.6948 0.7537
O 0.3687 0.8052 0.2537
O 0.3774 0.0648 0.8361
O 0.3774 0.4352 0.3361
O 0.6226 0.5648 0.6639
O 0.6226 0.9352 0.1639
O 0.6313 0.1948 0.7463
O 0.6313 0.3052 0.2463
O 0.6632 0.0238 0.9769
O 0.6632 0.4762 0.4769
O 0.6707 0.0504 0.4465
O 0.6707 0.4496 0.9465
O 0.8280 0.0420 0.1947
O 0.8280 0.4580 0.6947
O 0.8383 0.0332 0.7263
O 0.8383 0.4668 0.2263
O 0.8648 0.5485 0.4159
O 0.8648 0.9515 0.9159
O 0.8780 0.1749 0.4952
O 0.8780 0.3251 0.9952
F 0.0002 0.1787 0.9129
F 0.0002 0.3213 0.4129
F 0.9998 0.6787 0.5871
F 0.9998 0.8213 0.0871
F 0.0303 0.7292 0.2787
F 0.0303 0.7708 0.7787
F 0.4695 0.7420 0.0281
F 0.4695 0.7580 0.5281
F 0.5000 0.2090 0.1621
F 0.5000 0.2910 0.6621
F 0.5000 0.7090 0.3379
F 0.5000 0.7910 0.8379
F 0.5305 0.2420 0.4719
F 0.5305 0.2580 0.9719
F 0.9697 0.2292 0.2213
F 0.9697 0.2708 0.7213

The crystal system is monoclinic. Its total energy is -439.96 eV per cell. As for the formation energy: -1733 meV per atom. The calculated density comes out at 2.16 g/cm³. The magnetization is 0.002 μB per atom.


Crystalline Dy6Cu23 at its relaxed geometry, computed with PBE.

abc: 8.5830 8.5830 8.5830
angles: 60.00 60.00 60.00
Atoms (fractional coordinates):
Dy 0.2138 0.2138 0.7862
Dy 0.2138 0.7862 0.2138
Dy 0.2138 0.7862 0.7862
Dy 0.7862 0.2138 0.2138
Dy 0.7862 0.2138 0.7862
Dy 0.7862 0.7862 0.2138
Cu 0.0000 0.0000 0.5000
Cu 0.0000 0.5000 0.0000
Cu 0.0000 0.5000 0.5000
Cu 0.1350 0.6217 0.6217
Cu 0.1728 0.1728 0.1728
Cu 0.1728 0.1728 0.4815
Cu 0.1728 0.4815 0.1728
Cu 0.3783 0.3783 0.3783
Cu 0.3783 0.3783 0.8650
Cu 0.3783 0.8650 0.3783
Cu 0.4815 0.1728 0.1728
Cu 0.5000 0.0000 0.0000
Cu 0.5000 0.0000 0.5000
Cu 0.5000 0.5000 0.0000
Cu 0.5000 0.5000 0.5000
Cu 0.5185 0.8272 0.8272
Cu 0.6217 0.1350 0.6217
Cu 0.6217 0.6217 0.1350
Cu 0.6217 0.6217 0.6217
Cu 0.8272 0.5185 0.8272
Cu 0.8272 0.8272 0.5185
Cu 0.8272 0.8272 0.8272
Cu 0.8650 0.3783 0.3783

The crystal system is cubic. Its total energy is -127.59 eV per cell. As for the formation energy: -195 meV per atom. The calculated density comes out at 9.05 g/cm³.


Crystalline RbCaCl3 at its relaxed geometry, computed with PBE.

abc: 7.6784 7.6786 5.4289
angles: 90.00 90.01 90.00
Atoms (fractional coordinates):
Rb 0.0000 0.0000 0.0000
Rb 0.5000 0.5000 0.0000
Ca 0.4983 0.0000 0.5082
Ca 0.9983 0.5000 0.5082
Cl 0.2487 0.2506 0.5105
Cl 0.2487 0.7494 0.5105
Cl 0.4962 0.0000 0.0086
Cl 0.7487 0.2494 0.5105
Cl 0.7487 0.7506 0.5105
Cl 0.9962 0.5000 0.0086

The crystal system is monoclinic. Its total energy is -39.41 eV per cell. As for the formation energy: -2603 meV per atom. The calculated density comes out at 2.41 g/cm³. The magnetization is 0.000 μB per atom.


Crystalline LiTi4O8 at its relaxed geometry, computed with PBE.

abc: 5.8008 7.2503 10.1875
angles: 78.71 88.53 85.84
Atoms (fractional coordinates):
Li 0.0000 0.0000 0.0000
Li 0.2580 0.9996 0.2576
Li 0.7423 0.8544 0.6152
Ti 0.0025 0.4384 0.9310
Ti 0.0271 0.1232 0.4787
Ti 0.2303 0.7367 0.6358
Ti 0.2457 0.4335 0.1808
Ti 0.2665 0.1161 0.7256
Ti 0.4813 0.7383 0.8924
Ti 0.4981 0.4299 0.4359
Ti 0.5224 0.1233 0.9757
Ti 0.7210 0.7336 0.1443
Ti 0.7500 0.4166 0.6879
Ti 0.7611 0.1179 0.2367
Ti 0.9740 0.7323 0.3886
O 0.0251 0.2882 0.7841
O 0.0270 0.9687 0.6631
O 0.0454 0.2270 0.2842
O 0.2150 0.6180 0.8309
O 0.2166 0.8864 0.4479
O 0.2208 0.5609 0.3382
O 0.2727 0.2865 0.0341
O 0.2850 0.9706 0.9165
O 0.2888 0.2384 0.5377
O 0.4590 0.6175 0.0817
O 0.4628 0.8846 0.7025
O 0.4760 0.5643 0.5869
O 0.5214 0.2916 0.2809
O 0.5340 0.2370 0.7863
O 0.5338 0.9700 0.1679
O 0.7089 0.6155 0.3324
O 0.7193 0.8861 0.9549
O 0.7228 0.5657 0.8351
O 0.7751 0.2932 0.5298
O 0.7800 0.9682 0.4193
O 0.7948 0.2264 0.0364
O 0.9509 0.6279 0.5840
O 0.9698 0.5636 0.0883
O 0.9740 0.8883 0.1999

The crystal system is triclinic. Its total energy is -332.72 eV per cell. The calculation puts the energy relative to the lowest polymorph listed for this composition at 0.000 eV/atom. As for the formation energy: -3333 meV per atom. The calculated density comes out at 3.88 g/cm³. The magnetization is 0.077 μB per atom.


Crystalline KZrCuS3 at its relaxed geometry, computed with PBE.

abc: 7.4006 7.4006 9.8361
angles: 90.00 90.00 150.54
Atoms (fractional coordinates):
K 0.2453 0.7547 0.7500
K 0.7547 0.2453 0.2500
Zr 0.5000 0.5000 0.0000
Zr 0.5000 0.5000 0.5000
Cu 0.0326 0.9674 0.2500
Cu 0.9674 0.0326 0.7500
S 0.1201 0.8799 0.0548
S 0.1201 0.8799 0.4452
S 0.4354 0.5646 0.2500
S 0.5646 0.4354 0.7500
S 0.8799 0.1201 0.5548
S 0.8799 0.1201 0.9452

The crystal system is orthorhombic. Its total energy is -67.45 eV per cell. As for the formation energy: -1512 meV per atom. The calculated density comes out at 3.64 g/cm³.


Crystalline Cu2SeS3 at its relaxed geometry, computed with PBE.

abc: 6.2615 6.2615 7.1902
angles: 98.04 98.04 119.19
Atoms (fractional coordinates):
Cu 0.0715 0.9285 0.5000
Cu 0.2192 0.7259 0.9935
Cu 0.7259 0.2192 0.4935
Cu 0.9285 0.0715 0.0000
Se 0.3746 0.5903 0.4945
Se 0.5903 0.3746 0.9945
S 0.0170 0.2016 0.3381
S 0.2016 0.0170 0.8381
S 0.3374 0.8687 0.3338
S 0.5641 0.7002 0.9362
S 0.7002 0.5641 0.4362
S 0.8687 0.3374 0.8338

The crystal system is monoclinic. Its total energy is -48.51 eV per cell. As for the formation energy: -277 meV per atom. The calculated density comes out at 4.24 g/cm³. The magnetization is 0.000 μB per atom.


Crystalline ScMnRh2 at its relaxed geometry, computed with PBE.

abc: 6.2838 6.2838 6.2838
angles: 90.00 90.00 90.00
Atoms (fractional coordinates):
Sc 0.0000 0.0000 0.0000
Sc 0.0000 0.5000 0.5000
Sc 0.5000 0.0000 0.5000
Sc 0.5000 0.5000 0.0000
Mn 0.0000 0.0000 0.5000
Mn 0.0000 0.5000 0.0000
Mn 0.5000 0.0000 0.0000
Mn 0.5000 0.5000 0.5000
Rh 0.2500 0.2500 0.2500
Rh 0.2500 0.2500 0.7500
Rh 0.2500 0.7500 0.2500
Rh 0.2500 0.7500 0.7500
Rh 0.7500 0.2500 0.2500
Rh 0.7500 0.2500 0.7500
Rh 0.7500 0.7500 0.2500
Rh 0.7500 0.7500 0.7500

The crystal system is cubic. Its total energy is -130.81 eV per cell. As for the formation energy: -620 meV per atom. The calculated density comes out at 8.18 g/cm³.


Crystalline Al2Ag2Bi2S3Cl8 at its relaxed geometry, computed with PBE.

abc: 7.0108 7.0108 22.7943
angles: 90.00 90.00 120.00
Atoms (fractional coordinates):
Al 0.3333 0.6667 0.0803
Al 0.3333 0.6667 0.4197
Al 0.6667 0.3333 0.5803
Al 0.6667 0.3333 0.9197
Ag 0.0000 0.0000 0.2500
Ag 0.0000 0.0000 0.7500
Ag 0.3333 0.6667 0.2500
Ag 0.6667 0.3333 0.7500
Bi 0.3333 0.6667 0.6728
Bi 0.3333 0.6667 0.8272
Bi 0.6667 0.3333 0.1728
Bi 0.6667 0.3333 0.3272
S 0.0478 0.3798 0.7500
S 0.3320 0.9522 0.7500
S 0.3798 0.0478 0.2500
S 0.6202 0.6680 0.7500
S 0.6680 0.6202 0.2500
S 0.9522 0.3320 0.2500
Cl 0.0967 0.7514 0.1161
Cl 0.0967 0.7514 0.3839
Cl 0.2486 0.3453 0.1161
Cl 0.2486 0.3453 0.3839
Cl 0.3333 0.6667 0.5128
Cl 0.3333 0.6667 0.9872
Cl 0.3453 0.2486 0.6161
Cl 0.3453 0.2486 0.8839
Cl 0.6547 0.9033 0.1161
Cl 0.6547 0.9033 0.3839
Cl 0.6667 0.3333 0.0128
Cl 0.6667 0.3333 0.4872
Cl 0.7514 0.0967 0.6161
Cl 0.7514 0.0967 0.8839
Cl 0.9033 0.6547 0.6161
Cl 0.9033 0.6547 0.8839

The crystal system is hexagonal. Its total energy is -129.29 eV per cell. As for the formation energy: -1349 meV per atom. The calculated density comes out at 3.65 g/cm³. The magnetization is 0.000 μB per atom.